Na10NbIn7Si6S6O48: optimized geometry, PBE.

Unit cell a=9.179 b=15.816 c=22.924 alpha=89.38 beta=89.87 gamma=89.76
Space group P1 (No. 1)
Inequivalent atoms, fractional coordinates:
Na  0.000  0.000  0.000
Na  0.001  0.955  0.333
Na  0.126  0.149  0.168
Na  0.128  0.491  0.498
Na  0.133  0.126  0.500
Na  0.173  0.142  0.842
Na  0.173  0.480  0.171
Na  0.190  0.817  0.498
Na  0.312  0.980  0.915
Na  0.315  0.313  0.256
Na  0.317  0.968  0.417
Na  0.324  0.661  0.591
Na  0.329  0.321  0.753
Na  0.345  0.650  0.082
Na  0.460  0.480  0.675
Na  0.499  0.504  0.000
Na  0.623  0.626  0.511
Na  0.625  0.992  0.501
Na  0.631  0.300  0.166
Na  0.674  0.640  0.833
Na  0.675  0.982  0.163
Na  0.679  0.315  0.505
Na  0.806  0.472  0.418
Na  0.807  0.153  0.586
Na  0.808  0.481  0.913
Na  0.809  0.144  0.087
Na  0.838  0.802  0.250
Na  0.839  0.821  0.751
Na  0.955  0.317  0.002
Na  0.987  0.625  0.995
Nb  0.301  0.312  0.104
Nb  0.320  0.312  0.598
Nb  0.805  0.815  0.606
In  0.291  0.970  0.765
In  0.299  0.974  0.265
In  0.305  0.319  0.899
In  0.308  0.971  0.565
In  0.309  0.313  0.404
In  0.309  0.988  0.069
In  0.315  0.648  0.236
In  0.317  0.646  0.731
In  0.322  0.641  0.934
In  0.322  0.650  0.433
In  0.792  0.476  0.762
In  0.799  0.469  0.572
In  0.802  0.484  0.068
In  0.806  0.474  0.264
In  0.808  0.141  0.733
In  0.810  0.148  0.440
In  0.812  0.146  0.231
In  0.812  0.809  0.100
In  0.815  0.815  0.898
In  0.816  0.144  0.932
In  0.820  0.812  0.399
Si  0.006  0.973  0.166
Si  0.018  0.316  0.500
Si  0.158  0.461  0.001
Si  0.162  0.825  0.664
Si  0.163  0.794  0.334
Si  0.166  0.165  0.996
Si  0.454  0.163  0.498
Si  0.458  0.124  0.168
Si  0.461  0.461  0.496
Si  0.462  0.493  0.832
Si  0.510  0.482  0.165
Si  0.526  0.811  0.497
Si  0.659  0.320  0.665
Si  0.665  0.628  0.666
Si  0.665  0.668  0.998
Si  0.955  0.334  0.165
Si  0.958  0.958  0.498
Si  0.961  0.995  0.835
S  0.017  0.644  0.835
S  0.107  0.474  0.665
S  0.108  0.148  0.334
S  0.113  0.813  0.000
S  0.157  0.493  0.333
S  0.166  0.131  0.666
S  0.458  0.795  0.834
S  0.458  0.830  0.165
S  0.513  0.144  0.833
S  0.604  0.308  0.001
S  0.605  0.978  0.666
S  0.618  0.641  0.333
S  0.658  0.962  0.000
S  0.660  0.294  0.333
S  0.660  0.999  0.333
S  0.957  0.295  0.833
S  0.957  0.665  0.503
S  0.961  0.628  0.168
O  0.006  0.139  0.670
O  0.012  0.140  0.387
O  0.013  0.463  0.717
O  0.018  0.155  0.280
O  0.018  0.832  0.949
O  0.023  0.484  0.610
O  0.023  0.799  0.053
O  0.096  0.961  0.226
O  0.099  0.641  0.891
O  0.104  0.991  0.107
O  0.112  0.338  0.443
O  0.114  0.654  0.784
O  0.119  0.294  0.835
O  0.119  0.659  0.499
O  0.123  0.633  0.172
O  0.132  0.974  0.505
O  0.135  0.303  0.556
O  0.136  0.320  0.156
O  0.142  0.995  0.831
O  0.177  0.885  0.720
O  0.178  0.399  0.947
O  0.194  0.542  0.386
O  0.195  0.069  0.333
O  0.196  0.733  0.992
O  0.199  0.079  0.614
O  0.199  0.736  0.278
O  0.200  0.225  0.335
O  0.204  0.397  0.662
O  0.205  0.548  0.669
O  0.210  0.887  0.006
O  0.213  0.227  0.053
O  0.214  0.534  0.279
O  0.221  0.753  0.397
O  0.222  0.729  0.672
O  0.227  0.068  0.001
O  0.227  0.207  0.936
O  0.227  0.407  0.335
O  0.231  0.093  0.720
O  0.233  0.216  0.660
O  0.234  0.554  0.000
O  0.234  0.862  0.603
O  0.235  0.891  0.331
O  0.237  0.409  0.058
O  0.365  0.086  0.223
O  0.367  0.549  0.493
O  0.368  0.199  0.442
O  0.381  0.219  0.155
O  0.387  0.411  0.556
O  0.389  0.070  0.512
O  0.390  0.398  0.836
O  0.391  0.758  0.887
O  0.392  0.559  0.176
O  0.395  0.744  0.170
O  0.396  0.538  0.773
O  0.397  0.870  0.111
O  0.403  0.883  0.829
O  0.410  0.217  0.836
O  0.410  0.392  0.156
O  0.418  0.230  0.554
O  0.423  0.065  0.829
O  0.424  0.895  0.502
O  0.425  0.724  0.499
O  0.427  0.745  0.782
O  0.433  0.882  0.217
O  0.436  0.549  0.892
O  0.449  0.396  0.442
O  0.457  0.060  0.113
O  0.473  0.319  0.658
O  0.487  0.631  0.669
O  0.488  0.656  0.996
O  0.498  0.968  0.004
O  0.499  0.302  0.335
O  0.501  0.991  0.329
O  0.511  0.968  0.718
O  0.512  0.319  0.949
O  0.516  0.300  0.055
O  0.522  0.988  0.611
O  0.524  0.649  0.281
O  0.532  0.628  0.388
O  0.594  0.498  0.103
O  0.603  0.136  0.887
O  0.603  0.157  0.781
O  0.615  0.453  0.219
O  0.620  0.825  0.161
O  0.621  0.796  0.838
O  0.625  0.823  0.440
O  0.630  0.146  0.176
O  0.632  0.163  0.497
O  0.635  0.477  0.504
O  0.636  0.801  0.555
O  0.643  0.491  0.831
O  0.674  0.389  0.717
O  0.694  0.048  0.387
O  0.695  0.912  0.949
O  0.696  0.571  0.608
O  0.698  0.898  0.663
O  0.699  0.247  0.280
O  0.699  0.385  0.003
O  0.700  0.232  0.997
O  0.704  0.722  0.056
O  0.705  0.050  0.670
O  0.709  0.718  0.336
O  0.714  0.564  0.328
O  0.716  0.251  0.387
O  0.720  0.355  0.602
O  0.724  0.042  0.281
O  0.724  0.926  0.055
O  0.726  0.048  0.996
O  0.727  0.226  0.673
O  0.731  0.379  0.332
O  0.734  0.915  0.335
O  0.735  0.724  0.655
O  0.739  0.572  0.001
O  0.742  0.593  0.726
O  0.744  0.708  0.939
O  0.871  0.049  0.497
O  0.877  0.371  0.107
O  0.880  0.904  0.552
O  0.888  0.901  0.838
O  0.890  0.044  0.779
O  0.890  0.894  0.160
O  0.892  0.699  0.449
O  0.893  0.239  0.174
O  0.895  0.261  0.889
O  0.897  0.579  0.510
O  0.897  0.586  0.220
O  0.897  0.714  0.165
O  0.901  0.383  0.826
O  0.904  0.060  0.170
O  0.914  0.718  0.834
O  0.916  0.400  0.507
O  0.919  0.241  0.784
O  0.923  0.229  0.498
O  0.923  0.720  0.553
O  0.928  0.565  0.832
O  0.936  0.579  0.114
O  0.940  0.049  0.896
O  0.945  0.905  0.438
O  0.954  0.399  0.220
O  0.979  0.820  0.653
O  0.982  0.470  0.009
O  0.983  0.164  0.999
O  0.983  0.807  0.334
O  0.995  0.487  0.331

Values from the calculation:
Theoretical density: 3.38 g/cm3
Volume: 14.2 A^3/atom
Total moment: 0.0 Bohr magnetons per cell

---

Na4NbIn3Si3S3O24: optimized geometry, PBE.

Unit cell a=9.104 b=9.110 c=22.984 alpha=89.99 beta=89.90 gamma=60.13
Space group P1 (No. 1)
Inequivalent atoms, fractional coordinates:
Na  0.000  0.000  0.000
Na  0.001  0.000  0.500
Na  0.319  0.332  0.838
Na  0.331  0.697  0.573
Na  0.334  0.346  0.323
Na  0.623  0.375  0.741
Na  0.638  0.989  0.240
Na  0.648  0.666  0.168
Na  0.667  0.681  0.650
Na  0.694  0.974  0.574
Na  0.974  0.331  0.574
Na  0.996  0.372  0.240
Nb  0.002  0.998  0.855
Nb  0.003  0.997  0.339
Nb  0.667  0.666  0.003
In  0.003  0.996  0.146
In  0.003  0.996  0.641
In  0.327  0.333  0.668
In  0.333  0.333  0.482
In  0.335  0.333  0.972
In  0.336  0.340  0.182
In  0.658  0.667  0.308
In  0.666  0.665  0.509
In  0.667  0.671  0.815
Si  0.037  0.629  0.575
Si  0.296  0.998  0.239
Si  0.335  0.037  0.576
Si  0.375  0.962  0.907
Si  0.629  0.333  0.579
Si  0.663  0.375  0.904
Si  0.710  0.292  0.240
Si  0.963  0.662  0.906
Si  0.998  0.706  0.241
S  0.000  0.290  0.745
S  0.030  0.338  0.075
S  0.293  0.707  0.745
S  0.339  0.629  0.075
S  0.361  0.669  0.409
S  0.631  0.030  0.076
S  0.670  0.969  0.408
S  0.711  0.998  0.745
S  0.969  0.362  0.408
O  0.009  0.182  0.796
O  0.009  0.186  0.076
O  0.012  0.818  0.583
O  0.022  0.811  0.298
O  0.101  0.360  0.131
O  0.103  0.508  0.633
O  0.138  0.322  0.026
O  0.139  0.343  0.410
O  0.150  0.516  0.919
O  0.155  0.303  0.745
O  0.163  0.557  0.520
O  0.167  0.521  0.241
O  0.168  0.018  0.297
O  0.170  0.012  0.584
O  0.187  0.802  0.077
O  0.187  0.809  0.796
O  0.188  0.965  0.901
O  0.191  0.826  0.403
O  0.216  0.796  0.690
O  0.224  0.961  0.181
O  0.279  0.162  0.520
O  0.292  0.180  0.240
O  0.306  0.538  0.747
O  0.320  0.544  0.023
O  0.333  0.150  0.920
O  0.342  0.517  0.411
O  0.361  0.532  0.129
O  0.391  0.103  0.633
O  0.435  0.691  0.464
O  0.466  0.686  0.747
O  0.468  0.652  0.358
O  0.475  0.830  0.963
O  0.477  0.889  0.848
O  0.487  0.847  0.250
O  0.496  0.645  0.068
O  0.500  0.849  0.566
O  0.515  0.336  0.918
O  0.518  0.140  0.410
O  0.519  0.378  0.641
O  0.535  0.284  0.241
O  0.538  0.103  0.131
O  0.541  0.138  0.026
O  0.546  0.161  0.747
O  0.551  0.282  0.525
O  0.638  0.470  0.843
O  0.646  0.858  0.069
O  0.647  0.501  0.569
O  0.654  0.882  0.356
O  0.688  0.849  0.748
O  0.690  0.869  0.461
O  0.695  0.479  0.959
O  0.696  0.473  0.252
O  0.800  0.985  0.690
O  0.804  0.009  0.077
O  0.814  0.007  0.795
O  0.816  0.163  0.298
O  0.820  0.170  0.585
O  0.826  0.221  0.183
O  0.828  0.983  0.403
O  0.829  0.698  0.963
O  0.834  0.685  0.254
O  0.842  0.458  0.748
O  0.846  0.188  0.899
O  0.848  0.651  0.566
O  0.857  0.495  0.068
O  0.869  0.439  0.462
O  0.881  0.464  0.356
O  0.890  0.629  0.848
O  0.947  0.826  0.185
O  0.966  0.845  0.900
O  0.982  0.212  0.691
O  0.983  0.189  0.403

Values from the calculation:
Theoretical density: 3.30 g/cm3
Volume: 14.5 A^3/atom
Total moment: 0.0 Bohr magnetons per cell

---

Na2Nb3InSi4S2O24: optimized geometry, PBE.

Unit cell a=8.892 b=8.928 c=23.108 alpha=89.35 beta=89.56 gamma=60.18
Space group P1 (No. 1)
Inequivalent atoms, fractional coordinates:
Na  0.000  0.000  0.000
Na  0.002  0.012  0.501
Na  0.319  0.329  0.669
Na  0.338  0.340  0.163
Na  0.657  0.673  0.326
Na  0.672  0.673  0.832
Nb  0.011  0.990  0.354
Nb  0.016  0.999  0.650
Nb  0.018  0.977  0.860
Nb  0.330  0.329  0.815
Nb  0.344  0.332  0.020
Nb  0.365  0.315  0.312
Nb  0.673  0.648  0.479
Nb  0.690  0.648  0.978
Nb  0.997  0.979  0.143
In  0.338  0.311  0.519
In  0.670  0.656  0.189
In  0.687  0.662  0.693
Si  0.012  0.703  0.753
Si  0.057  0.318  0.920
Si  0.295  0.703  0.251
Si  0.301  0.991  0.754
Si  0.341  0.034  0.418
Si  0.350  0.608  0.917
Si  0.623  0.041  0.917
Si  0.633  0.318  0.420
Si  0.674  0.372  0.087
Si  0.724  0.982  0.252
Si  0.964  0.647  0.086
Si  0.967  0.370  0.587
S  0.014  0.276  0.253
S  0.047  0.619  0.418
S  0.380  0.954  0.084
S  0.382  0.662  0.585
S  0.679  0.948  0.585
S  0.721  0.273  0.753
O  0.000  0.186  0.306
O  0.018  0.798  0.410
O  0.026  0.809  0.694
O  0.029  0.155  0.911
O  0.036  0.175  0.201
O  0.127  0.512  0.367
O  0.142  0.355  0.861
O  0.146  0.553  0.472
O  0.159  0.345  0.582
O  0.159  0.486  0.075
O  0.172  0.292  0.260
O  0.174  0.293  0.976
O  0.174  0.798  0.912
O  0.174  0.806  0.195
O  0.175  0.024  0.695
O  0.183  0.995  0.405
O  0.190  0.821  0.308
O  0.190  0.983  0.809
O  0.195  0.518  0.757
O  0.203  0.973  0.090
O  0.207  0.826  0.588
O  0.285  0.144  0.476
O  0.295  0.518  0.262
O  0.315  0.167  0.758
O  0.315  0.522  0.974
O  0.355  0.130  0.077
O  0.357  0.513  0.578
O  0.366  0.137  0.362
O  0.373  0.491  0.860
O  0.462  0.845  0.034
O  0.468  0.686  0.532
O  0.478  0.887  0.138
O  0.479  0.813  0.748
O  0.481  0.644  0.637
O  0.485  0.678  0.252
O  0.503  0.135  0.860
O  0.510  0.354  0.362
O  0.514  0.635  0.926
O  0.516  0.329  0.074
O  0.519  0.844  0.428
O  0.532  0.126  0.581
O  0.533  0.166  0.258
O  0.534  0.160  0.974
O  0.551  0.281  0.754
O  0.554  0.293  0.479
O  0.625  0.480  0.145
O  0.642  0.851  0.928
O  0.650  0.874  0.638
O  0.651  0.496  0.427
O  0.693  0.844  0.533
O  0.697  0.471  0.030
O  0.700  0.446  0.749
O  0.704  0.816  0.252
O  0.810  0.171  0.699
O  0.811  0.016  0.193
O  0.815  0.020  0.908
O  0.824  0.188  0.804
O  0.827  0.159  0.408
O  0.834  0.984  0.308
O  0.841  0.474  0.529
O  0.842  0.684  0.029
O  0.844  0.682  0.755
O  0.845  0.955  0.588
O  0.855  0.180  0.093
O  0.857  0.445  0.253
O  0.868  0.495  0.925
O  0.868  0.641  0.425
O  0.872  0.476  0.644
O  0.890  0.620  0.146
O  0.976  0.177  0.591
O  0.987  0.825  0.090
O  0.997  0.822  0.809

Values from the calculation:
Theoretical density: 3.13 g/cm3
Volume: 14.7 A^3/atom
Total moment: 0.0 Bohr magnetons per cell

---

| no. | VASP energy (eV per atom) |
| --- | --- |
| 1 | -6.2326 |
| 2 | -6.4306 |
| 3 | -7.3573 |